Entry from Materials Project: a relaxed Er10Ti6O27 crystal (PBE).

Summary:
Final energy: -8.500 eV per atom

abc: 12.7474 7.5667 12.1258
angles: 90.00 112.03 90.00
Space group Cm (No. 8)
Inequivalent atoms, fractional coordinates:
Er1 0.0000 0.0000 0.0000 (multiplicity 2)
Er2 0.0048 0.2786 0.7671 (multiplicity 4)
Er3 0.2375 0.5000 0.7633 (multiplicity 2)
Er4 0.2457 0.5000 0.2700 (multiplicity 2)
Er5 0.2517 0.2360 0.5384 (multiplicity 4)
Er6 0.2594 0.0000 0.2746 (multiplicity 2)
Er7 0.4971 0.2424 0.2712 (multiplicity 4)
Ti1 0.0075 0.5000 0.0099 (multiplicity 2)
Ti2 0.0077 0.0000 0.5236 (multiplicity 2)
Ti3 0.0139 0.5000 0.5041 (multiplicity 2)
Ti4 0.2659 0.0000 0.8004 (multiplicity 2)
Ti5 0.2659 0.2444 0.0205 (multiplicity 4)
O1 0.0528 0.5000 0.6820 (multiplicity 2)
O2 0.0566 0.2659 0.4735 (multiplicity 4)
O3 0.0621 0.5000 0.1777 (multiplicity 2)
O4 0.0839 0.3064 0.9763 (multiplicity 4)
O5 0.1804 0.0000 0.6192 (multiplicity 2)
O6 0.1807 0.0000 0.0694 (multiplicity 2)
O7 0.1819 0.1834 0.8343 (multiplicity 4)
O8 0.1870 0.2350 0.3360 (multiplicity 4)
O9 0.1994 0.5000 0.5643 (multiplicity 2)
O10 0.2621 0.5000 0.9579 (multiplicity 2)
O11 0.2953 0.2761 0.1809 (multiplicity 4)
O12 0.3365 0.2873 0.7496 (multiplicity 4)
O13 0.3391 0.0000 0.9864 (multiplicity 2)
O14 0.3540 0.0000 0.4906 (multiplicity 2)
O15 0.4251 0.0000 0.8273 (multiplicity 2)
O16 0.4327 0.2957 0.0738 (multiplicity 4)
O17 0.4347 0.3364 0.5853 (multiplicity 4)
O18 0.4388 0.0000 0.3206 (multiplicity 2)
O19 0.4420 0.5000 0.3516 (multiplicity 2)

Entry from Materials Project: a relaxed HoHg3 crystal (PBE).

Summary:
Final energy: -1.711 eV per atom

abc: 6.6418 6.6418 5.0207
angles: 90.00 90.00 120.00
Space group P6_3/mmc (No. 194)
Inequivalent atoms, fractional coordinates:
Ho1 0.3333 0.6667 0.2500 (multiplicity 2)
Hg1 0.1667 0.3333 0.7500 (multiplicity 6)

Entry from Materials Project: a relaxed Dy2Pd2Pb crystal (PBE).

Summary:
Final energy: -5.500 eV per atom

abc: 7.9661 7.9661 3.5909
angles: 90.00 90.00 90.00
Space group P4/mbm (No. 127)
Inequivalent atoms, fractional coordinates:
Dy1 0.1708 0.3292 0.0000 (multiplicity 4)
Pd1 0.1254 0.6254 0.5000 (multiplicity 4)
Pb1 0.0000 0.0000 0.5000 (multiplicity 2)

Entry from Materials Project: a relaxed P4O9 crystal (PBE).

Summary:
Final energy: -6.973 eV per atom

abc: 10.1009 10.1009 26.0242
angles: 90.00 90.00 120.00
Space group R-3c (No. 167, hexagonal axes)
Inequivalent atoms, fractional coordinates:
P1 0.0000 0.0000 0.0772 (multiplicity 12)
P2 0.0574 0.1839 0.1698 (multiplicity 36)
O1 0.0002 0.4347 0.6425 (multiplicity 36)
O2 0.0502 0.1623 0.8121 (multiplicity 36)
O3 0.0505 0.1647 0.1089 (multiplicity 36)

Entry from Materials Project: a relaxed Ho2FeGe4 crystal (PBE).

Summary:
Final energy: -5.734 eV per atom

abc: 4.1411 4.1765 15.5392
angles: 90.00 90.00 90.00
Space group Amm2 (No. 38)
Inequivalent atoms, fractional coordinates:
Ho1 0.0000 0.0000 0.0000 (multiplicity 2)
Ho2 0.5000 0.0000 0.2052 (multiplicity 2)
Fe1 0.0000 0.0000 0.7970 (multiplicity 2)
Ge1 0.0000 0.0000 0.3633 (multiplicity 2)
Ge2 0.0000 0.0000 0.6498 (multiplicity 2)
Ge3 0.5000 0.0000 0.5398 (multiplicity 2)
Ge4 0.5000 0.0000 0.8607 (multiplicity 2)

Entry from Materials Project: a relaxed ThHg2 crystal (PBE).

Summary:
Final energy: -2.937 eV per atom

abc: 4.9303 4.9303 7.5216
angles: 90.00 90.00 120.00
Space group P6_3/mmc (No. 194)
Inequivalent atoms, fractional coordinates:
Th1 0.0000 0.0000 0.2500 (multiplicity 2)
Hg1 0.3333 0.6667 0.0416 (multiplicity 4)

Entry from Materials Project: a relaxed YAl2Ge2 crystal (PBE).

Summary:
Final energy: -5.059 eV per atom

abc: 4.2909 4.2909 6.6215
angles: 90.00 90.00 120.00
Space group P-3m1 (No. 164)
Inequivalent atoms, fractional coordinates:
Y1 0.0000 0.0000 0.0000 (multiplicity 1)
Al1 0.3333 0.6667 0.6467 (multiplicity 2)
Ge1 0.3333 0.6667 0.2586 (multiplicity 2)

Entry from Materials Project: a relaxed PmAlAg2 crystal (PBE).

Summary:
Final energy: -3.848 eV per atom

abc: 6.9704 6.9704 6.9704
angles: 90.00 90.00 90.00
Space group Fm-3m (No. 225)
Inequivalent atoms, fractional coordinates:
Pm1 0.0000 0.0000 0.0000 (multiplicity 4)
Al1 0.0000 0.0000 0.5000 (multiplicity 4)
Ag1 0.2500 0.2500 0.2500 (multiplicity 8)